(1)
The following is a r²SCAN calculation of NdTe3 after structural relaxation, from the Materials Project.

The calculation puts the total magnetic moment at 0.000 μB/atom. The total energy comes out at -27.561 eV per atom. The formation energy comes out at -4.58 eV/f.u.

The structure belongs to space group Cmcm (No. 63); the cell edges are 4.3881, 26.8987 and 4.3911 Å and the angles 90.00°, 90.00° and 90.00°. Symmetry generates all atoms from Nd at (0.0000, 0.1704, 0.2500), Te at (0.0000, 0.0741, 0.7500), Te at (0.0000, 0.2937, 0.2500) and Te at (0.0000, 0.4258, 0.7500).

(2)
The following is a r²SCAN calculation of NdUTe6 after structural relaxation, from the Materials Project.

The calculation puts the total magnetic moment at 0.318 μB/atom. The total energy comes out at -33.727 eV per atom. The formation energy comes out at -7.96 eV/f.u.

The structure belongs to space group Amm2 (No. 38); the cell edges are 4.3979, 4.3954 and 26.4164 Å and the angles 90.00°, 90.00° and 90.00°. Symmetry generates all atoms from Nd at (0.0000, 0.0000, 0.0000), U at (0.5000, 0.0000, 0.3378), Te at (0.0000, 0.0000, 0.2450), Te at (0.0000, 0.0000, 0.5965), Te at (0.0000, 0.0000, 0.8737), Te at (0.5000, 0.0000, 0.0967), Te at (0.5000, 0.0000, 0.4622) and Te at (0.5000, 0.0000, 0.7450).

(3)
The following is a r²SCAN calculation of NdTh3 after structural relaxation, from the Materials Project.

The calculation puts the total magnetic moment at 0.000 μB/atom. The total energy comes out at -62.395 eV per atom. The formation energy comes out at 0.26 eV/f.u.

The structure belongs to space group Pm-3m (No. 221); the cell edges are 5.0806, 5.0806 and 5.0806 Å and the angles 90.00°, 90.00° and 90.00°. Symmetry generates all atoms from Nd at (0.0000, 0.0000, 0.0000) and Th at (0.0000, 0.5000, 0.5000).

(4)
The following is a r²SCAN calculation of NdTl3 after structural relaxation, from the Materials Project.

The calculation puts the total magnetic moment at 0.000 μB/atom. The total energy comes out at -47.629 eV per atom. The formation energy comes out at -1.56 eV/f.u.

The structure belongs to space group Pm-3m (No. 221); the cell edges are 4.7951, 4.7951 and 4.7951 Å and the angles 90.00°, 90.00° and 90.00°. Symmetry generates all atoms from Nd at (0.0000, 0.0000, 0.0000) and Tl at (0.0000, 0.5000, 0.5000).

(5)
The following is a r²SCAN calculation of Nd3Tl5 after structural relaxation, from the Materials Project.

The calculation puts the total magnetic moment at 0.000 μB/atom. The total energy comes out at -44.764 eV per atom. The formation energy comes out at -3.96 eV/f.u.

The structure belongs to space group Cmcm (No. 63); the cell edges are 10.2818, 8.3594 and 10.6275 Å and the angles 90.00°, 90.00° and 90.00°. Symmetry generates all atoms from Nd at (0.0000, 0.1271, 0.2500), Nd at (0.2030, 0.5000, 0.0000), Tl at (0.0000, 0.1931, 0.5440), Tl at (0.0000, 0.4912, 0.7500) and Tl at (0.2163, 0.2081, 0.7500).

(6)
The following is a r²SCAN calculation of NdTl after structural relaxation, from the Materials Project.

The calculation puts the total magnetic moment at 0.000 μB/atom. The total energy comes out at -41.808 eV per atom. The formation energy comes out at -1.02 eV/f.u.

The structure belongs to space group Pm-3m (No. 221); the cell edges are 3.8866, 3.8866 and 3.8866 Å and the angles 90.00°, 90.00° and 90.00°. Symmetry generates all atoms from Nd at (0.0000, 0.0000, 0.0000) and Tl at (0.5000, 0.5000, 0.5000).

(7)
The following is a r²SCAN calculation of Nd3Tl after structural relaxation, from the Materials Project.

The calculation puts the total magnetic moment at 0.361 μB/atom. The total energy comes out at -35.651 eV per atom. The formation energy comes out at -1.17 eV/f.u.

The structure belongs to space group Pm-3m (No. 221); the cell edges are 4.9888, 4.9888 and 4.9888 Å and the angles 90.00°, 90.00° and 90.00°. Symmetry generates all atoms from Nd at (0.0000, 0.0000, 0.5000) and Tl at (0.5000, 0.5000, 0.5000).

(8)
The following is a r²SCAN calculation of Nd2Tl after structural relaxation, from the Materials Project.

The calculation puts the total magnetic moment at 0.319 μB/atom. The total energy comes out at -37.731 eV per atom. The formation energy comes out at -1.18 eV/f.u.

The structure belongs to space group P6_3/mmc (No. 194); the cell edges are 5.5679, 5.5679 and 6.9142 Å and the angles 90.00°, 90.00° and 120.00°. Symmetry generates all atoms from Nd at (0.0000, 0.0000, 0.0000), Nd at (0.3333, 0.6667, 0.2500) and Tl at (0.3333, 0.6667, 0.7500).